Here is a relaxed Na11W13O39 crystal from the Materials Project database. Energies are from PBE with a Hubbard U.

Calculated values
- formation enthalpy at 0 K (meV per atom) = -2177.6
- space-group type = P-1 (2)
- calculated volume (Å³ per cell) = 814.1

The structure in POSCAR format:
```
Na11W13O39
1.0
6.8586 0.0000 0.0000
2.3223 8.6188 0.0000
2.2941 3.1261 13.7714
Na W O
11 13 39
direct
0.6159 0.1926 0.4611 Na
0.4613 0.2706 0.8462 Na
0.0000 0.5000 0.0000 Na
0.8471 0.5765 0.3840 Na
0.1529 0.4235 0.6160 Na
0.2318 0.8843 0.9227 Na
0.7682 0.1157 0.0773 Na
0.5387 0.7294 0.1538 Na
0.0767 0.9625 0.3081 Na
0.3841 0.8074 0.5389 Na
0.9233 0.0375 0.6919 Na
0.6526 0.4244 0.6168 W
0.3474 0.5756 0.3832 W
0.5000 0.5000 0.0000 W
0.4239 0.0350 0.6918 W
0.5761 0.9650 0.3082 W
0.8072 0.3464 0.2302 W
0.9605 0.2731 0.8462 W
0.1130 0.1944 0.4607 W
0.2681 0.1170 0.0783 W
0.8870 0.8056 0.5393 W
0.7319 0.8830 0.9217 W
0.0395 0.7269 0.1538 W
0.1928 0.6536 0.7698 W
0.5000 0.5000 0.5000 O
0.5719 0.4685 0.3122 O
0.6541 0.4258 0.1090 O
0.3459 0.5742 0.8910 O
0.2636 0.6248 0.0776 O
0.4281 0.5315 0.6878 O
0.7027 0.1487 0.2695 O
0.7666 0.6090 0.5747 O
0.5363 0.2362 0.6530 O
0.2334 0.3910 0.4253 O
0.9133 0.5438 0.1916 O
0.0867 0.4562 0.8084 O
0.3861 0.3011 0.0358 O
0.3538 0.0680 0.3846 O
0.1913 0.1538 0.7687 O
0.0452 0.2237 0.1486 O
0.1226 0.1894 0.9622 O
0.7364 0.3752 0.9224 O
0.8075 0.3429 0.7275 O
0.6462 0.9320 0.6154 O
0.5756 0.9647 0.8114 O
0.4244 0.0353 0.1886 O
0.8774 0.3101 0.5404 O
0.5000 0.0000 0.0000 O
0.2640 0.1192 0.5739 O
0.9630 0.2689 0.3507 O
0.2973 0.8513 0.7305 O
0.8437 0.0728 0.8856 O
0.0000 0.0000 0.5000 O
0.6139 0.6989 0.9642 O
0.4637 0.7638 0.3470 O
0.1563 0.9272 0.1144 O
0.1226 0.6899 0.4596 O
0.7360 0.8808 0.4261 O
0.8087 0.8462 0.2313 O
0.9548 0.7763 0.8514 O
0.0370 0.7311 0.6493 O
0.1925 0.6571 0.2725 O
0.8774 0.8106 0.0378 O
```